{"formula": "Sc2CO", "functional": "PBE-GGA", "state": "relaxed", "lattice": [[5.387, -1.626, 0.000], [5.387, 1.626, 0.000], [4.897, 0.000, 2.773]], "species": ["Sc", "Sc", "C", "O"], "frac_coords": [[0.246, 0.246, 0.246], [0.754, 0.754, 0.754], [0.500, 0.500, 0.500], [0.000, 0.000, 0.000]], "e_form_ev_per_atom": -2.069, "density_g_cm3": 4.03}


{"formula": "Re2SnC10Cl2O10", "functional": "PBE-GGA", "state": "relaxed", "lattice": [[-10.676, 2.811, 8.454], [2.387, -9.865, 6.295], [10.759, 2.550, 12.738]], "species": ["Re", "Re", "Re", "Re", "Re", "Re", "Re", "Re", "Sn", "Sn", "Sn", "Sn", "C", "C", "C", "C", "C", "C", "C", "C", "C", "C", "C", "C", "C", "C", "C", "C", "C", "C", "C", "C", "C", "C", "C", "C", "C", "C", "C", "C", "C", "C", "C", "C", "C", "C", "C", "C", "C", "C", "C", "C", "Cl", "Cl", "Cl", "Cl", "Cl", "Cl", "Cl", "Cl", "O", "O", "O", "O", "O", "O", "O", "O", "O", "O", "O", "O", "O", "O", "O", "O", "O", "O", "O", "O", "O", "O", "O", "O", "O", "O", "O", "O", "O", "O", "O", "O", "O", "O", "O", "O", "O", "O", "O", "O"], "frac_coords": [[0.257, 0.693, 0.317], [0.285, 0.608, 0.718], [0.215, 0.608, 0.218], [0.785, 0.392, 0.782], [0.243, 0.693, 0.817], [0.743, 0.307, 0.683], [0.757, 0.307, 0.183], [0.715, 0.392, 0.282], [0.247, 0.908, 0.197], [0.753, 0.092, 0.803], [0.747, 0.092, 0.303], [0.253, 0.908, 0.697], [0.139, 0.230, 0.818], [0.603, 0.532, 0.449], [0.903, 0.271, 0.840], [0.031, 0.984, 0.463], [0.281, 0.331, 0.984], [0.361, 0.230, 0.318], [0.048, 0.183, 0.016], [0.719, 0.669, 0.016], [0.932, 0.952, 0.487], [0.379, 0.174, 0.815], [0.781, 0.669, 0.516], [0.548, 0.817, 0.484], [0.469, 0.984, 0.963], [0.666, 0.352, 0.853], [0.103, 0.468, 0.051], [0.621, 0.826, 0.185], [0.219, 0.331, 0.484], [0.969, 0.016, 0.537], [0.432, 0.048, 0.013], [0.068, 0.048, 0.513], [0.861, 0.770, 0.182], [0.597, 0.271, 0.340], [0.639, 0.770, 0.682], [0.998, 0.042, 0.799], [0.568, 0.952, 0.987], [0.334, 0.648, 0.147], [0.002, 0.958, 0.201], [0.834, 0.352, 0.353], [0.403, 0.729, 0.660], [0.952, 0.817, 0.984], [0.397, 0.468, 0.551], [0.452, 0.183, 0.516], [0.879, 0.826, 0.685], [0.502, 0.042, 0.299], [0.531, 0.016, 0.037], [0.097, 0.729, 0.160], [0.897, 0.532, 0.949], [0.121, 0.174, 0.315], [0.166, 0.648, 0.647], [0.498, 0.958, 0.701], [0.416, 0.672, 0.350], [0.131, 0.718, 0.395], [0.631, 0.282, 0.105], [0.369, 0.718, 0.895], [0.869, 0.282, 0.605], [0.584, 0.328, 0.650], [0.084, 0.672, 0.850], [0.916, 0.328, 0.150], [0.871, 0.673, 0.233], [0.562, 0.979, 0.736], [0.638, 0.905, 0.972], [0.878, 0.841, 0.952], [0.438, 0.021, 0.264], [0.345, 0.770, 0.602], [0.138, 0.095, 0.528], [0.801, 0.690, 0.445], [0.362, 0.095, 0.028], [0.903, 0.341, 0.394], [0.864, 0.464, 0.925], [0.062, 0.021, 0.764], [0.136, 0.536, 0.075], [0.636, 0.464, 0.425], [0.097, 0.659, 0.606], [0.629, 0.673, 0.733], [0.622, 0.841, 0.452], [0.818, 0.545, 0.728], [0.199, 0.310, 0.555], [0.403, 0.659, 0.106], [0.333, 0.135, 0.775], [0.301, 0.310, 0.055], [0.182, 0.455, 0.272], [0.597, 0.341, 0.894], [0.167, 0.135, 0.275], [0.938, 0.979, 0.236], [0.699, 0.690, 0.945], [0.129, 0.327, 0.767], [0.122, 0.159, 0.048], [0.364, 0.536, 0.575], [0.378, 0.159, 0.548], [0.318, 0.455, 0.772], [0.655, 0.230, 0.398], [0.371, 0.327, 0.267], [0.862, 0.905, 0.472], [0.845, 0.230, 0.898], [0.155, 0.770, 0.102], [0.667, 0.865, 0.225], [0.682, 0.545, 0.228], [0.833, 0.865, 0.725]], "e_form_ev_per_atom": -0.424, "density_g_cm3": 2.18}


{"formula": "Sr4Sn2Se9", "functional": "PBE-GGA", "state": "relaxed", "lattice": [[8.753, 0.000, 0.000], [0.000, 12.121, 0.000], [0.000, 0.000, 16.360]], "species": ["Sr", "Sr", "Sr", "Sr", "Sr", "Sr", "Sr", "Sr", "Sr", "Sr", "Sr", "Sr", "Sr", "Sr", "Sr", "Sr", "Sn", "Sn", "Sn", "Sn", "Sn", "Sn", "Sn", "Sn", "Se", "Se", "Se", "Se", "Se", "Se", "Se", "Se", "Se", "Se", "Se", "Se", "Se", "Se", "Se", "Se", "Se", "Se", "Se", "Se", "Se", "Se", "Se", "Se", "Se", "Se", "Se", "Se", "Se", "Se", "Se", "Se", "Se", "Se", "Se", "Se"], "frac_coords": [[0.747, 0.112, 0.674], [0.249, 0.254, 0.928], [0.747, 0.612, 0.826], [0.253, 0.112, 0.674], [0.253, 0.888, 0.326], [0.253, 0.612, 0.826], [0.249, 0.754, 0.572], [0.751, 0.254, 0.928], [0.747, 0.388, 0.174], [0.253, 0.388, 0.174], [0.249, 0.246, 0.428], [0.751, 0.754, 0.572], [0.751, 0.246, 0.428], [0.751, 0.746, 0.072], [0.249, 0.746, 0.072], [0.747, 0.888, 0.326], [0.500, 0.910, 0.822], [0.500, 0.090, 0.178], [0.500, 0.590, 0.322], [0.500, 0.410, 0.678], [0.000, 0.951, 0.896], [0.000, 0.451, 0.604], [0.000, 0.549, 0.396], [0.000, 0.049, 0.104], [0.500, 0.742, 0.431], [0.500, 0.758, 0.931], [0.757, 0.130, 0.249], [0.243, 0.130, 0.249], [0.000, 0.134, 0.814], [0.226, 0.000, 0.000], [0.226, 0.500, 0.500], [0.774, 0.000, 0.000], [0.000, 0.464, 0.930], [0.774, 0.500, 0.500], [0.000, 0.242, 0.574], [0.000, 0.366, 0.314], [0.000, 0.536, 0.070], [0.500, 0.541, 0.069], [0.000, 0.258, 0.074], [0.500, 0.623, 0.680], [0.243, 0.870, 0.751], [0.000, 0.866, 0.186], [0.500, 0.123, 0.820], [0.243, 0.370, 0.749], [0.757, 0.630, 0.251], [0.500, 0.258, 0.569], [0.000, 0.742, 0.926], [0.500, 0.959, 0.569], [0.500, 0.242, 0.069], [0.500, 0.877, 0.180], [0.757, 0.870, 0.751], [0.500, 0.041, 0.431], [0.500, 0.459, 0.931], [0.757, 0.370, 0.749], [0.000, 0.758, 0.426], [0.500, 0.377, 0.320], [0.000, 0.036, 0.430], [0.000, 0.634, 0.686], [0.000, 0.964, 0.570], [0.243, 0.630, 0.251]], "e_form_ev_per_atom": -1.520, "density_g_cm3": 4.97}


{"formula": "Li3As7", "functional": "PBE-GGA", "state": "relaxed", "lattice": [[-6.645, 9.733, 4.625], [-8.096, -0.867, -9.806], [-12.966, -14.550, 11.991]], "species": ["Li", "Li", "Li", "Li", "Li", "Li", "Li", "Li", "Li", "Li", "Li", "Li", "Li", "Li", "Li", "Li", "Li", "Li", "Li", "Li", "Li", "Li", "Li", "Li", "Li", "Li", "Li", "Li", "Li", "Li", "Li", "Li", "Li", "Li", "Li", "Li", "Li", "Li", "Li", "Li", "Li", "Li", "Li", "Li", "Li", "Li", "Li", "Li", "As", "As", "As", "As", "As", "As", "As", "As", "As", "As", "As", "As", "As", "As", "As", "As", "As", "As", "As", "As", "As", "As", "As", "As", "As", "As", "As", "As", "As", "As", "As", "As", "As", "As", "As", "As", "As", "As", "As", "As", "As", "As", "As", "As", "As", "As", "As", "As", "As", "As", "As", "As", "As", "As", "As", "As", "As", "As", "As", "As", "As", "As", "As", "As", "As", "As", "As", "As", "As", "As", "As", "As", "As", "As", "As", "As", "As", "As", "As", "As", "As", "As", "As", "As", "As", "As", "As", "As", "As", "As", "As", "As", "As", "As", "As", "As", "As", "As", "As", "As", "As", "As", "As", "As", "As", "As", "As", "As", "As", "As", "As", "As"], "frac_coords": [[0.780, 0.543, 0.806], [0.013, 0.247, 0.851], [0.119, 0.419, 0.482], [0.220, 0.957, 0.306], [0.817, 0.004, 0.315], [0.317, 0.496, 0.315], [0.280, 0.957, 0.806], [0.183, 0.996, 0.685], [0.487, 0.247, 0.351], [0.683, 0.504, 0.685], [0.987, 0.253, 0.351], [0.799, 0.335, 0.848], [0.799, 0.835, 0.652], [0.881, 0.081, 0.982], [0.163, 0.746, 0.926], [0.817, 0.504, 0.185], [0.201, 0.665, 0.152], [0.663, 0.254, 0.574], [0.299, 0.165, 0.848], [0.299, 0.665, 0.652], [0.183, 0.496, 0.815], [0.513, 0.253, 0.851], [0.280, 0.457, 0.694], [0.683, 0.004, 0.815], [0.201, 0.165, 0.348], [0.513, 0.753, 0.649], [0.013, 0.747, 0.649], [0.317, 0.996, 0.185], [0.220, 0.457, 0.194], [0.663, 0.754, 0.926], [0.381, 0.419, 0.982], [0.780, 0.043, 0.694], [0.337, 0.246, 0.074], [0.720, 0.043, 0.194], [0.701, 0.835, 0.152], [0.381, 0.919, 0.518], [0.881, 0.581, 0.518], [0.987, 0.753, 0.149], [0.619, 0.581, 0.018], [0.163, 0.246, 0.574], [0.619, 0.081, 0.482], [0.337, 0.746, 0.426], [0.720, 0.543, 0.306], [0.701, 0.335, 0.348], [0.119, 0.919, 0.018], [0.837, 0.754, 0.426], [0.487, 0.747, 0.149], [0.837, 0.254, 0.074], [0.155, 0.852, 0.210], [0.026, 0.387, 0.131], [0.526, 0.613, 0.369], [0.641, 0.371, 0.776], [0.886, 0.244, 0.700], [0.909, 0.844, 0.962], [0.987, 0.014, 0.789], [0.974, 0.113, 0.631], [0.349, 0.532, 0.511], [0.084, 0.235, 0.694], [0.584, 0.265, 0.694], [0.859, 0.871, 0.224], [0.487, 0.486, 0.789], [0.013, 0.486, 0.289], [0.855, 0.285, 0.955], [0.527, 0.449, 0.313], [0.655, 0.148, 0.290], [0.974, 0.613, 0.869], [0.473, 0.051, 0.813], [0.141, 0.129, 0.776], [0.168, 0.263, 0.955], [0.845, 0.148, 0.790], [0.513, 0.014, 0.289], [0.262, 0.554, 0.923], [0.513, 0.514, 0.211], [0.386, 0.756, 0.800], [0.114, 0.756, 0.300], [0.832, 0.237, 0.455], [0.576, 0.410, 0.932], [0.924, 0.410, 0.432], [0.027, 0.551, 0.187], [0.076, 0.090, 0.932], [0.168, 0.763, 0.545], [0.424, 0.090, 0.432], [0.345, 0.352, 0.790], [0.527, 0.949, 0.187], [0.218, 0.963, 0.918], [0.859, 0.371, 0.276], [0.416, 0.735, 0.306], [0.238, 0.054, 0.077], [0.424, 0.590, 0.068], [0.849, 0.468, 0.989], [0.359, 0.629, 0.224], [0.218, 0.463, 0.582], [0.651, 0.468, 0.489], [0.987, 0.514, 0.711], [0.973, 0.949, 0.687], [0.832, 0.737, 0.045], [0.614, 0.744, 0.300], [0.332, 0.763, 0.045], [0.359, 0.129, 0.276], [0.409, 0.656, 0.962], [0.487, 0.986, 0.711], [0.345, 0.852, 0.710], [0.238, 0.554, 0.423], [0.845, 0.648, 0.710], [0.668, 0.237, 0.955], [0.151, 0.532, 0.011], [0.782, 0.537, 0.418], [0.076, 0.590, 0.568], [0.668, 0.737, 0.545], [0.027, 0.051, 0.313], [0.782, 0.037, 0.082], [0.855, 0.785, 0.545], [0.924, 0.910, 0.068], [0.151, 0.032, 0.489], [0.386, 0.256, 0.700], [0.738, 0.446, 0.077], [0.526, 0.113, 0.131], [0.262, 0.054, 0.577], [0.026, 0.887, 0.369], [0.762, 0.946, 0.923], [0.473, 0.551, 0.687], [0.591, 0.844, 0.462], [0.973, 0.449, 0.813], [0.916, 0.765, 0.306], [0.591, 0.344, 0.038], [0.145, 0.715, 0.045], [0.738, 0.946, 0.423], [0.645, 0.285, 0.455], [0.886, 0.744, 0.800], [0.641, 0.871, 0.724], [0.655, 0.648, 0.210], [0.849, 0.968, 0.511], [0.762, 0.446, 0.577], [0.474, 0.387, 0.631], [0.409, 0.156, 0.538], [0.084, 0.735, 0.806], [0.355, 0.715, 0.545], [0.584, 0.765, 0.806], [0.645, 0.785, 0.045], [0.114, 0.256, 0.200], [0.141, 0.629, 0.724], [0.349, 0.032, 0.989], [0.155, 0.352, 0.290], [0.282, 0.963, 0.418], [0.916, 0.265, 0.194], [0.614, 0.244, 0.200], [0.332, 0.263, 0.455], [0.576, 0.910, 0.568], [0.282, 0.463, 0.082], [0.718, 0.537, 0.918], [0.718, 0.037, 0.582], [0.909, 0.344, 0.538], [0.091, 0.156, 0.038], [0.145, 0.215, 0.455], [0.013, 0.986, 0.211], [0.474, 0.887, 0.869], [0.091, 0.656, 0.462], [0.651, 0.968, 0.011], [0.416, 0.235, 0.194], [0.355, 0.215, 0.955]], "e_form_ev_per_atom": -0.291, "density_g_cm3": 3.92}


{"formula": "MgTe4Mo2W2S4", "functional": "PBE-GGA", "state": "relaxed", "lattice": [[3.362, 0.000, 0.000], [-1.681, 2.912, 0.000], [0.000, 0.000, 38.247]], "species": ["Mg", "Te", "Te", "Te", "Te", "Mo", "Mo", "W", "W", "S", "S", "S", "S"], "frac_coords": [[0.374, 0.698, 0.874], [0.333, 0.667, 0.707], [0.667, 0.333, 0.044], [0.667, 0.333, 0.144], [0.333, 0.667, 0.608], [0.333, 0.667, 0.470], [0.667, 0.333, 0.282], [0.333, 0.667, 0.094], [0.667, 0.333, 0.658], [0.333, 0.667, 0.321], [0.667, 0.333, 0.430], [0.667, 0.333, 0.509], [0.333, 0.667, 0.242]], "polymorph_energy_mev_per_atom": 67, "e_form_ev_per_atom": -0.463, "density_g_cm3": 5.42}


{"formula": "MnB4Mo3", "functional": "PBE-GGA", "state": "relaxed", "lattice": [[3.060, 0.000, 0.000], [0.000, 4.483, 0.000], [0.000, 2.165, 5.848]], "species": ["Mn", "B", "B", "B", "B", "Mo", "Mo", "Mo"], "frac_coords": [[0.500, 0.729, 0.068], [0.500, 0.116, 0.725], [0.500, 0.112, 0.217], [0.000, 0.870, 0.272], [0.000, 0.876, 0.793], [0.500, 0.710, 0.573], [0.000, 0.296, 0.931], [0.000, 0.292, 0.422]], "e_form_ev_per_atom": -0.453, "density_g_cm3": 7.99}